Computed, not measured: MoCl6 after structural relaxation at the GGA-PBE level of DFT.

Volume in A^3/atom: 30.38
Mass density in g/cm3: 2.4
Calculated total energy in eV/f.u.: -27.03
Energy of formation in eV/atom: -1.254

Unit cell a=11.180 b=11.180 c=5.894 alpha=90.00 beta=90.00 gamma=120.00
Fractional positions:
Cl: 0.431 0.569 0.731
Cl: 0.236 0.472 0.277
Cl: 0.236 0.764 0.277
Cl: 0.569 0.431 0.269
Cl: 0.805 0.902 0.773
Cl: 0.764 0.528 0.723
Cl: 0.902 0.805 0.227
Cl: 0.098 0.902 0.773
Cl: 0.472 0.236 0.723
Cl: 0.431 0.862 0.731
Cl: 0.098 0.195 0.773
Cl: 0.764 0.236 0.723
Cl: 0.195 0.098 0.227
Cl: 0.569 0.138 0.269
Cl: 0.528 0.764 0.277
Cl: 0.138 0.569 0.731
Cl: 0.902 0.098 0.227
Cl: 0.862 0.431 0.269
Mo: 0.667 0.333 0.496
Mo: 0.000 0.000 0.000
Mo: 0.333 0.667 0.504